Entry 1:
24
Lattice="2.539 -4.416 0.000 2.539 4.416 0.000 -1.716 0.000 9.635" Properties=species:S:1:pos:R:3 comment="Li7Cr5O12, relaxed, DFT GGA+U" sg="C2/m (12)" pbc="T T T"
Li 0.000 0.000 0.000
Li 0.836 1.464 2.369
Li -0.055 0.000 7.262
Li 0.836 -1.464 2.369
Li 2.526 1.464 7.266
Li 3.417 0.000 2.373
Li 2.526 -1.464 7.266
Cr 1.681 2.936 4.818
Cr 2.539 1.460 0.000
Cr 1.681 0.000 4.818
Cr 2.539 -1.460 0.000
Cr 1.681 -2.936 4.818
O 1.600 2.786 1.077
O -0.012 0.000 3.703
O 0.835 1.478 5.908
O 1.762 2.786 8.558
O 1.828 0.000 1.079
O 2.527 1.478 3.727
O 0.835 -1.478 5.908
O 1.534 0.000 8.556
O 1.600 -2.786 1.077
O 2.527 -1.478 3.727
O 3.373 0.000 5.932
O 1.762 -2.786 8.558

Entry 2:
76
Lattice="5.054 0.000 0.000 0.006 10.183 0.000 0.053 0.002 17.293" Properties=species:S:1:pos:R:3 comment="Li9Cr19O48, relaxed, DFT GGA+U" sg="P1 (1)" de_polymorph_mev_per_atom=0 pbc="T T T"
Li 0.000 0.000 0.000
Li 5.064 1.779 2.889
Li 0.763 6.834 3.782
Li 1.772 1.740 12.482
Li 2.532 6.805 13.351
Li 2.538 3.470 7.636
Li 2.556 1.770 4.678
Li 5.051 6.820 11.567
Li 5.059 8.562 8.630
Cr 0.057 3.572 17.242
Cr 0.145 9.104 14.124
Cr 0.167 4.569 14.089
Cr 0.159 1.727 9.107
Cr 2.382 6.821 7.164
Cr 2.371 4.023 2.184
Cr 2.411 9.633 2.176
Cr 2.521 8.676 16.349
Cr 2.545 5.025 16.323
Cr 2.543 10.083 7.718
Cr 2.689 9.112 10.833
Cr 2.694 4.560 10.788
Cr 2.803 1.760 15.776
Cr 3.295 6.821 3.855
Cr 4.295 1.754 12.419
Cr 4.819 6.854 0.496
Cr 4.905 9.654 5.482
Cr 4.910 4.022 5.434
Cr 5.055 4.991 8.545
O 0.426 0.366 13.287
O 0.422 1.733 10.831
O 0.445 3.093 13.243
O 0.723 0.448 4.528
O 0.790 4.385 6.815
O 0.814 3.083 4.498
O 0.808 5.397 0.072
O 0.847 9.326 6.800
O 0.846 8.146 0.028
O 0.900 3.191 1.669
O 1.001 6.728 8.236
O 1.023 0.244 1.776
O 1.539 1.638 8.036
O 1.588 8.318 14.587
O 1.594 5.420 14.594
O 1.718 3.143 16.183
O 1.697 4.235 9.473
O 1.744 8.158 11.769
O 1.754 9.474 9.454
O 1.810 0.375 16.176
O 1.814 5.522 11.760
O 2.085 8.197 3.030
O 2.088 5.508 3.000
O 2.117 6.832 5.444
O 3.072 0.359 11.670
O 3.076 3.132 11.613
O 3.103 1.749 14.083
O 3.302 8.245 7.553
O 3.316 2.967 3.022
O 3.317 9.245 0.774
O 3.341 0.409 3.100
O 3.367 4.399 0.717
O 3.436 6.834 16.628
O 3.428 5.499 7.557
O 3.492 0.307 5.970
O 3.562 3.183 5.860
O 4.041 8.279 10.407
O 4.109 1.823 16.907
O 4.094 5.397 10.294
O 4.166 0.409 8.708
O 4.224 4.220 15.516
O 4.230 9.405 15.464
O 4.288 5.582 13.163
O 4.296 3.153 8.717
O 4.329 8.115 13.182
O 4.478 6.838 2.181
O 4.518 5.454 4.602
O 4.522 8.228 4.655

| no. | total DFT energy (no corrections) (eV per atom) | E_form (eV per atom) | density (g cm⁻³) |
| --- | --- | --- | --- |
| 1 | -6.58 | -2.298 | 3.85 |
| 2 | -6.81 | -1.975 | 3.39 |